A plane-wave DFT calculation with GGA-PBE was carried out for an optimized crystal structure of CdCu2SnS4.

Lattice parameters (Å, degrees): 5.6183 5.6183 10.9867 90.00 90.00 90.00
Space group I-42m (No. 121)
Unique sites:
1 Cd 0.0000 0.0000 0.0000 x2
2 Cu 0.0000 0.5000 0.2500 x4
3 Sn 0.0000 0.0000 0.5000 x2
4 S 0.2416 0.2416 0.3598 x8

The energy relative to the elements comes out at -0.66 eV/atom. The total magnetic moment comes out at 0.00 μB per formula unit.